[1]
A plane-wave DFT calculation with r²SCAN was carried out for crystalline Tl2Pt at its relaxed geometry.

Cell: 6.933 6.933 5.652 Å, 90.00 90.00 90.00°
Positions (direct):
Tl (0.160, 0.340, 0.000)
Tl (0.160, 0.660, 0.500)
Tl (0.340, 0.160, 0.500)
Tl (0.340, 0.840, 0.000)
Tl (0.660, 0.160, 0.000)
Tl (0.660, 0.840, 0.500)
Tl (0.840, 0.340, 0.500)
Tl (0.840, 0.660, 0.000)
Pt (0.000, 0.000, 0.250)
Pt (0.000, 0.000, 0.750)
Pt (0.500, 0.500, 0.250)
Pt (0.500, 0.500, 0.750)

***

[2]
A plane-wave DFT calculation with r²SCAN was carried out for crystalline TmPt at its relaxed geometry.

Cell: 6.847 4.480 5.466 Å, 90.00 90.00 90.00°
Positions (direct):
Tm (0.182, 0.250, 0.141)
Tm (0.318, 0.750, 0.641)
Tm (0.682, 0.250, 0.359)
Tm (0.818, 0.750, 0.859)
Pt (0.043, 0.250, 0.657)
Pt (0.457, 0.750, 0.157)
Pt (0.543, 0.250, 0.843)
Pt (0.957, 0.750, 0.343)

***

[3]
A plane-wave DFT calculation with r²SCAN was carried out for crystalline TmPt2 at its relaxed geometry.

Cell: 5.369 5.369 5.369 Å, 60.00 60.00 60.00°
Positions (direct):
Tm (0.125, 0.125, 0.125)
Tm (0.875, 0.875, 0.875)
Pt (0.000, 0.500, 0.500)
Pt (0.500, 0.000, 0.500)
Pt (0.500, 0.500, 0.000)
Pt (0.500, 0.500, 0.500)

***

[4]
A plane-wave DFT calculation with r²SCAN was carried out for crystalline Tm5Pt4 at its relaxed geometry.

Cell: 7.375 14.320 7.455 Å, 90.00 90.00 90.00°
Positions (direct):
Tm (0.003, 0.093, 0.180)
Tm (0.003, 0.407, 0.180)
Tm (0.152, 0.623, 0.333)
Tm (0.152, 0.877, 0.333)
Tm (0.186, 0.250, 0.490)
Tm (0.314, 0.750, 0.990)
Tm (0.348, 0.123, 0.833)
Tm (0.348, 0.377, 0.833)
Tm (0.497, 0.593, 0.680)
Tm (0.497, 0.907, 0.680)
Tm (0.503, 0.093, 0.320)
Tm (0.503, 0.407, 0.320)
Tm (0.652, 0.623, 0.167)
Tm (0.652, 0.877, 0.167)
Tm (0.686, 0.250, 0.010)
Tm (0.814, 0.750, 0.510)
Tm (0.848, 0.123, 0.667)
Tm (0.848, 0.377, 0.667)
Tm (0.997, 0.593, 0.820)
Tm (0.997, 0.907, 0.820)
Pt (0.052, 0.250, 0.888)
Pt (0.177, 0.750, 0.643)
Pt (0.187, 0.041, 0.533)
Pt (0.187, 0.459, 0.533)
Pt (0.313, 0.541, 0.033)
Pt (0.313, 0.959, 0.033)
Pt (0.323, 0.250, 0.143)
Pt (0.448, 0.750, 0.388)
Pt (0.552, 0.250, 0.612)
Pt (0.677, 0.750, 0.857)
Pt (0.687, 0.041, 0.967)
Pt (0.687, 0.459, 0.967)
Pt (0.813, 0.541, 0.467)
Pt (0.813, 0.959, 0.467)
Pt (0.823, 0.250, 0.357)
Pt (0.948, 0.750, 0.112)

***

[5]
A plane-wave DFT calculation with r²SCAN was carried out for crystalline Tm3Pt at its relaxed geometry.

Cell: 6.935 9.429 6.370 Å, 90.00 90.00 90.00°
Positions (direct):
Tm (0.027, 0.250, 0.130)
Tm (0.177, 0.061, 0.682)
Tm (0.177, 0.439, 0.682)
Tm (0.323, 0.561, 0.182)
Tm (0.323, 0.939, 0.182)
Tm (0.473, 0.750, 0.630)
Tm (0.527, 0.250, 0.370)
Tm (0.677, 0.061, 0.818)
Tm (0.677, 0.439, 0.818)
Tm (0.823, 0.561, 0.318)
Tm (0.823, 0.939, 0.318)
Tm (0.973, 0.750, 0.870)
Pt (0.112, 0.750, 0.453)
Pt (0.388, 0.250, 0.953)
Pt (0.612, 0.750, 0.047)
Pt (0.888, 0.250, 0.547)

***

[6]
A plane-wave DFT calculation with r²SCAN was carried out for crystalline Tm3Pt4 at its relaxed geometry.

Cell: 7.716 7.716 7.716 Å, 114.24 114.24 114.24°
Positions (direct):
Tm (0.026, 0.405, 0.279)
Tm (0.279, 0.026, 0.405)
Tm (0.405, 0.279, 0.026)
Tm (0.595, 0.721, 0.974)
Tm (0.721, 0.974, 0.595)
Tm (0.974, 0.595, 0.721)
Pt (0.000, 0.000, 0.000)
Pt (0.063, 0.228, 0.552)
Pt (0.228, 0.552, 0.063)
Pt (0.448, 0.937, 0.772)
Pt (0.500, 0.500, 0.500)
Pt (0.552, 0.063, 0.228)
Pt (0.772, 0.448, 0.937)
Pt (0.937, 0.772, 0.448)

***

[7]
A plane-wave DFT calculation with r²SCAN was carried out for crystalline YbTmPt2 at its relaxed geometry.

Cell: 6.839 6.839 6.839 Å, 90.00 90.00 90.00°
Positions (direct):
Yb (0.000, 0.000, 0.000)
Yb (0.000, 0.500, 0.500)
Yb (0.500, 0.000, 0.500)
Yb (0.500, 0.500, 0.000)
Tm (0.000, 0.000, 0.500)
Tm (0.000, 0.500, 0.000)
Tm (0.500, 0.000, 0.000)
Tm (0.500, 0.500, 0.500)
Pt (0.250, 0.250, 0.250)
Pt (0.250, 0.250, 0.750)
Pt (0.250, 0.750, 0.250)
Pt (0.250, 0.750, 0.750)
Pt (0.750, 0.250, 0.250)
Pt (0.750, 0.250, 0.750)
Pt (0.750, 0.750, 0.250)
Pt (0.750, 0.750, 0.750)

***

[8]
A plane-wave DFT calculation with r²SCAN was carried out for crystalline UPt at its relaxed geometry.

Cell: 3.970 10.741 4.283 Å, 90.00 90.00 90.00°
Positions (direct):
U (0.000, 0.133, 0.250)
U (0.000, 0.867, 0.750)
U (0.500, 0.367, 0.750)
U (0.500, 0.633, 0.250)
Pt (0.000, 0.402, 0.250)
Pt (0.000, 0.598, 0.750)
Pt (0.500, 0.098, 0.750)
Pt (0.500, 0.902, 0.250)

***

[9]
A plane-wave DFT calculation with r²SCAN was carried out for crystalline U3Pt at its relaxed geometry.

Cell: 6.746 6.746 6.746 Å, 90.00 90.00 90.00°
Positions (direct):
U (0.000, 0.000, 0.000)
U (0.000, 0.500, 0.500)
U (0.250, 0.250, 0.250)
U (0.250, 0.250, 0.750)
U (0.250, 0.750, 0.250)
U (0.250, 0.750, 0.750)
U (0.500, 0.000, 0.500)
U (0.500, 0.500, 0.000)
U (0.750, 0.250, 0.250)
U (0.750, 0.250, 0.750)
U (0.750, 0.750, 0.250)
U (0.750, 0.750, 0.750)
Pt (0.000, 0.000, 0.500)
Pt (0.000, 0.500, 0.000)
Pt (0.500, 0.000, 0.000)
Pt (0.500, 0.500, 0.500)

***

[10]
A plane-wave DFT calculation with r²SCAN was carried out for crystalline UPt5 at its relaxed geometry.

Cell: 5.277 5.277 5.277 Å, 60.00 60.00 60.00°
Positions (direct):
U (0.000, 0.000, 0.000)
Pt (0.375, 0.375, 0.375)
Pt (0.375, 0.375, 0.874)
Pt (0.375, 0.874, 0.375)
Pt (0.750, 0.750, 0.750)
Pt (0.874, 0.375, 0.375)

***

[11]
A plane-wave DFT calculation with r²SCAN was carried out for crystalline V3Pt at its relaxed geometry.

Cell: 4.788 4.788 4.788 Å, 90.00 90.00 90.00°
Positions (direct):
V (0.000, 0.250, 0.500)
V (0.000, 0.750, 0.500)
V (0.250, 0.500, 0.000)
V (0.500, 0.000, 0.250)
V (0.500, 0.000, 0.750)
V (0.750, 0.500, 0.000)
Pt (0.000, 0.000, 0.000)
Pt (0.500, 0.500, 0.500)

***

[12]
A plane-wave DFT calculation with r²SCAN was carried out for crystalline Pt3W at its relaxed geometry.

Cell: 3.896 3.896 8.037 Å, 90.00 90.00 90.00°
Positions (direct):
Pt (0.000, 0.000, 0.000)
Pt (0.000, 0.500, 0.250)
Pt (0.000, 0.500, 0.750)
Pt (0.500, 0.000, 0.250)
Pt (0.500, 0.000, 0.750)
Pt (0.500, 0.500, 0.500)
W (0.000, 0.000, 0.500)
W (0.500, 0.500, 0.000)

***

[13]
A plane-wave DFT calculation with r²SCAN was carried out for crystalline YPt3 at its relaxed geometry.

Cell: 4.100 4.100 4.100 Å, 90.00 90.00 90.00°
Positions (direct):
Y (0.000, 0.000, 0.000)
Pt (0.000, 0.500, 0.500)
Pt (0.500, 0.000, 0.500)
Pt (0.500, 0.500, 0.000)

***

[14]
A plane-wave DFT calculation with r²SCAN was carried out for crystalline YPt2 at its relaxed geometry.

Cell: 5.410 5.410 5.410 Å, 60.00 60.00 60.00°
Positions (direct):
Y (0.125, 0.125, 0.125)
Y (0.875, 0.875, 0.875)
Pt (0.000, 0.500, 0.500)
Pt (0.500, 0.000, 0.500)
Pt (0.500, 0.500, 0.000)
Pt (0.500, 0.500, 0.500)

***

[15]
A plane-wave DFT calculation with r²SCAN was carried out for crystalline YbYPt2 at its relaxed geometry.

Cell: 6.895 6.895 6.895 Å, 90.00 90.00 90.00°
Positions (direct):
Yb (0.000, 0.000, 0.000)
Yb (0.000, 0.500, 0.500)
Yb (0.500, 0.000, 0.500)
Yb (0.500, 0.500, 0.000)
Y (0.000, 0.000, 0.500)
Y (0.000, 0.500, 0.000)
Y (0.500, 0.000, 0.000)
Y (0.500, 0.500, 0.500)
Pt (0.250, 0.250, 0.250)
Pt (0.250, 0.250, 0.750)
Pt (0.250, 0.750, 0.250)
Pt (0.250, 0.750, 0.750)
Pt (0.750, 0.250, 0.250)
Pt (0.750, 0.250, 0.750)
Pt (0.750, 0.750, 0.250)
Pt (0.750, 0.750, 0.750)

***

[16]
A plane-wave DFT calculation with r²SCAN was carried out for crystalline YbPt at its relaxed geometry.

Cell: 6.807 4.467 5.456 Å, 90.00 90.00 90.00°
Positions (direct):
Yb (0.182, 0.250, 0.142)
Yb (0.318, 0.750, 0.642)
Yb (0.682, 0.250, 0.358)
Yb (0.818, 0.750, 0.858)
Pt (0.043, 0.250, 0.657)
Pt (0.457, 0.750, 0.157)
Pt (0.543, 0.250, 0.843)
Pt (0.957, 0.750, 0.343)

***

[17]
A plane-wave DFT calculation with r²SCAN was carried out for crystalline YbPt3 at its relaxed geometry.

Cell: 4.056 4.056 4.056 Å, 90.00 90.00 90.00°
Positions (direct):
Yb (0.000, 0.000, 0.000)
Pt (0.000, 0.500, 0.500)
Pt (0.500, 0.000, 0.500)
Pt (0.500, 0.500, 0.000)

***

[18]
A plane-wave DFT calculation with r²SCAN was carried out for crystalline Yb4Pt at its relaxed geometry.

Cell: 7.599 7.599 7.599 Å, 60.00 60.00 60.00°
Positions (direct):
Yb (0.208, 0.764, 0.764)
Yb (0.236, 0.236, 0.236)
Yb (0.236, 0.236, 0.792)
Yb (0.236, 0.792, 0.236)
Yb (0.764, 0.208, 0.764)
Yb (0.764, 0.764, 0.208)
Yb (0.764, 0.764, 0.764)
Yb (0.792, 0.236, 0.236)
Pt (0.375, 0.375, 0.375)
Pt (0.625, 0.625, 0.625)

***

[19]
A plane-wave DFT calculation with r²SCAN was carried out for crystalline YbZnPt at its relaxed geometry.

Cell: 6.850 4.004 8.129 Å, 90.00 90.00 90.00°
Positions (direct):
Yb (0.048, 0.250, 0.184)
Yb (0.452, 0.750, 0.684)
Yb (0.548, 0.250, 0.316)
Yb (0.952, 0.750, 0.816)
Zn (0.132, 0.250, 0.563)
Zn (0.368, 0.750, 0.063)
Zn (0.632, 0.250, 0.937)
Zn (0.868, 0.750, 0.437)
Pt (0.246, 0.250, 0.876)
Pt (0.254, 0.750, 0.376)
Pt (0.746, 0.250, 0.624)
Pt (0.754, 0.750, 0.124)

***

[20]
A plane-wave DFT calculation with r²SCAN was carried out for crystalline ZnPt at its relaxed geometry.

Cell: 3.495 4.032 4.032 Å, 90.00 90.00 90.00°
Positions (direct):
Zn (0.500, 0.000, 0.500)
Zn (0.500, 0.500, 0.000)
Pt (0.000, 0.000, 0.000)
Pt (0.000, 0.500, 0.500)

***

[21]
A plane-wave DFT calculation with r²SCAN was carried out for crystalline Zr2Pt at its relaxed geometry.

Cell: 8.908 8.908 8.908 Å, 60.00 60.00 60.00°
Positions (direct):
Zr (0.000, 0.000, 0.000)
Zr (0.000, 0.000, 0.500)
Zr (0.000, 0.500, 0.000)
Zr (0.188, 0.188, 0.562)
Zr (0.188, 0.562, 0.188)
Zr (0.188, 0.562, 0.562)
Zr (0.438, 0.438, 0.812)
Zr (0.438, 0.812, 0.438)
Zr (0.438, 0.812, 0.812)
Zr (0.500, 0.000, 0.000)
Zr (0.562, 0.188, 0.188)
Zr (0.562, 0.188, 0.562)
Zr (0.562, 0.562, 0.188)
Zr (0.812, 0.438, 0.438)
Zr (0.812, 0.438, 0.812)
Zr (0.812, 0.812, 0.438)
Pt (0.170, 0.777, 0.777)
Pt (0.223, 0.223, 0.223)
Pt (0.223, 0.223, 0.830)
Pt (0.223, 0.830, 0.223)
Pt (0.777, 0.170, 0.777)
Pt (0.777, 0.777, 0.170)
Pt (0.777, 0.777, 0.777)
Pt (0.830, 0.223, 0.223)

***

[22]
A plane-wave DFT calculation with r²SCAN was carried out for crystalline Zr7Pt10 at its relaxed geometry.

Cell: 8.188 8.188 9.647 Å, 90.00 90.00 72.28°
Positions (direct):
Zr (0.000, 0.000, 0.000)
Zr (0.001, 0.499, 0.250)
Zr (0.182, 0.818, 0.682)
Zr (0.190, 0.190, 0.500)
Zr (0.310, 0.310, 0.000)
Zr (0.318, 0.682, 0.182)
Zr (0.499, 0.001, 0.750)
Zr (0.500, 0.500, 0.500)
Zr (0.501, 0.999, 0.250)
Zr (0.682, 0.318, 0.818)
Zr (0.690, 0.690, 0.000)
Zr (0.810, 0.810, 0.500)
Zr (0.818, 0.182, 0.318)
Zr (0.999, 0.501, 0.750)
Pt (0.063, 0.645, 0.001)
Pt (0.108, 0.892, 0.392)
Pt (0.144, 0.148, 0.208)
Pt (0.145, 0.563, 0.501)
Pt (0.148, 0.144, 0.792)
Pt (0.352, 0.356, 0.292)
Pt (0.355, 0.937, 0.001)
Pt (0.356, 0.352, 0.708)
Pt (0.392, 0.608, 0.892)
Pt (0.437, 0.855, 0.501)
Pt (0.563, 0.145, 0.499)
Pt (0.608, 0.392, 0.108)
Pt (0.644, 0.648, 0.292)
Pt (0.645, 0.063, 0.999)
Pt (0.648, 0.644, 0.708)
Pt (0.852, 0.856, 0.208)
Pt (0.855, 0.437, 0.499)
Pt (0.856, 0.852, 0.792)
Pt (0.892, 0.108, 0.608)
Pt (0.937, 0.355, 0.999)

***

Number 1: DFT total energy -52.722 eV/atom. Number 2: DFT total energy -44.752 eV/atom. Number 3: DFT total energy -47.242 eV/atom. Number 4: DFT total energy -43.727 eV/atom. Number 5: DFT total energy -40.037 eV/atom. Number 6: DFT total energy -45.862 eV/atom. Number 7: DFT total energy -45.057 eV/atom. Number 8: DFT total energy -66.589 eV/atom. Number 9: DFT total energy -73.058 eV/atom. Number 10: DFT total energy -56.849 eV/atom. Number 11: DFT total energy -23.918 eV/atom. Number 12: DFT total energy -51.708 eV/atom. Number 13: DFT total energy -44.761 eV/atom. Number 14: DFT total energy -42.284 eV/atom. Number 15: DFT total energy -41.301 eV/atom. Number 16: DFT total energy -45.473 eV/atom. Number 17: DFT total energy -48.932 eV/atom. Number 18: DFT total energy -39.627 eV/atom. Number 19: DFT total energy -33.410 eV/atom. Number 20: DFT total energy -30.828 eV/atom. Number 21: DFT total energy -33.140 eV/atom. Number 22: DFT total energy -40.864 eV/atom.